The following is a DFT calculation (PBE with a Hubbard U) of a geometry-optimized Ca4MgCoAs4O20 structure.

- ρ: 3.55 g cm⁻³
- Final energy: -5.939 eV per atom

Lattice parameters (Å, degrees): 5.543 6.164 12.565 87.36 87.65 70.44
Sites, in units of the cell vectors:
Ca (0.238, 0.438, 0.374)
Ca (0.247, 0.565, 0.874)
Ca (0.753, 0.435, 0.126)
Ca (0.762, 0.562, 0.626)
Mg (0.500, 0.000, 0.000)
Co (0.000, 0.000, 0.500)
As (0.063, 0.781, 0.118)
As (0.444, 0.207, 0.626)
As (0.556, 0.793, 0.374)
As (0.937, 0.219, 0.882)
O (0.014, 0.143, 0.382)
O (0.042, 0.952, 0.827)
O (0.064, 0.566, 0.209)
O (0.142, 0.246, 0.977)
O (0.160, 0.278, 0.559)
O (0.336, 0.762, 0.474)
O (0.358, 0.730, 0.053)
O (0.449, 0.411, 0.711)
O (0.465, 0.845, 0.854)
O (0.473, 0.069, 0.322)
O (0.527, 0.931, 0.678)
O (0.535, 0.155, 0.146)
O (0.551, 0.589, 0.289)
O (0.642, 0.270, 0.947)
O (0.664, 0.238, 0.526)
O (0.840, 0.722, 0.441)
O (0.858, 0.754, 0.023)
O (0.936, 0.434, 0.791)
O (0.958, 0.048, 0.173)
O (0.986, 0.857, 0.618)

***

The following is a DFT calculation (PBE with a Hubbard U) of a geometry-optimized P2WO8 structure.

- Excess energy over the best structure of this formula in the dataset: 5 meV per atom
- ρ: 3.77 g cm⁻³

Lattice parameters (Å, degrees): 5.256 11.126 11.254 90.00 90.00 90.00
Sites, in units of the cell vectors:
P (0.245, 0.096, 0.461)
P (0.250, 0.139, 0.844)
P (0.250, 0.861, 0.344)
P (0.255, 0.904, 0.961)
P (0.745, 0.404, 0.539)
P (0.750, 0.361, 0.156)
P (0.750, 0.639, 0.656)
P (0.755, 0.596, 0.039)
W (0.250, 0.401, 0.341)
W (0.250, 0.599, 0.841)
W (0.750, 0.099, 0.659)
W (0.750, 0.901, 0.159)
O (0.001, 0.064, 0.530)
O (0.006, 0.837, 0.267)
O (0.021, 0.933, 0.039)
O (0.027, 0.164, 0.753)
O (0.232, 0.196, 0.960)
O (0.245, 0.455, 0.784)
O (0.245, 0.991, 0.850)
O (0.246, 0.223, 0.416)
O (0.254, 0.777, 0.916)
O (0.255, 0.009, 0.350)
O (0.255, 0.545, 0.284)
O (0.268, 0.804, 0.460)
O (0.473, 0.836, 0.253)
O (0.479, 0.067, 0.539)
O (0.494, 0.163, 0.767)
O (0.499, 0.936, 0.030)
O (0.501, 0.436, 0.470)
O (0.506, 0.663, 0.733)
O (0.521, 0.567, 0.961)
O (0.527, 0.336, 0.247)
O (0.732, 0.304, 0.040)
O (0.745, 0.045, 0.216)
O (0.745, 0.509, 0.150)
O (0.746, 0.277, 0.584)
O (0.754, 0.723, 0.084)
O (0.755, 0.491, 0.650)
O (0.755, 0.955, 0.716)
O (0.768, 0.696, 0.540)
O (0.973, 0.664, 0.747)
O (0.979, 0.433, 0.461)
O (0.994, 0.337, 0.233)
O (0.999, 0.564, 0.970)

***

The following is a DFT calculation (PBE with a Hubbard U) of a geometry-optimized TiMn3Te2P6O24 structure.

- ρ: 3.48 g cm⁻³
- Final energy: -7.191 eV per atom

Lattice parameters (Å, degrees): 8.890 8.890 8.890 59.83 59.83 59.83
Sites, in units of the cell vectors:
Ti (0.000, 0.000, 0.000)
Mn (0.197, 0.197, 0.197)
Mn (0.504, 0.504, 0.504)
Mn (0.691, 0.691, 0.691)
Te (0.342, 0.342, 0.342)
Te (0.835, 0.835, 0.835)
P (0.105, 0.397, 0.809)
P (0.300, 0.910, 0.609)
P (0.397, 0.809, 0.105)
P (0.609, 0.300, 0.910)
P (0.809, 0.105, 0.397)
P (0.910, 0.609, 0.300)
O (0.025, 0.246, 0.874)
O (0.108, 0.943, 0.769)
O (0.110, 0.445, 0.273)
O (0.168, 0.378, 0.947)
O (0.246, 0.874, 0.025)
O (0.248, 0.413, 0.613)
O (0.273, 0.110, 0.445)
O (0.325, 0.762, 0.554)
O (0.378, 0.947, 0.168)
O (0.413, 0.613, 0.248)
O (0.445, 0.273, 0.110)
O (0.453, 0.886, 0.656)
O (0.554, 0.325, 0.762)
O (0.598, 0.789, 0.935)
O (0.613, 0.248, 0.413)
O (0.656, 0.453, 0.886)
O (0.762, 0.554, 0.325)
O (0.769, 0.108, 0.943)
O (0.789, 0.935, 0.598)
O (0.874, 0.025, 0.246)
O (0.886, 0.656, 0.453)
O (0.935, 0.598, 0.789)
O (0.943, 0.769, 0.108)
O (0.947, 0.168, 0.378)

***

The following is a DFT calculation (PBE with a Hubbard U) of a geometry-optimized MgMn6O10F2 structure.

- Excess energy over the best structure of this formula in the dataset: 56 meV per atom
- ρ: 4.22 g cm⁻³

Lattice parameters (Å, degrees): 5.149 5.750 7.509 82.40 84.92 80.95
Sites, in units of the cell vectors:
Mg (0.000, 0.000, 0.000)
Mn (0.010, 0.608, 0.825)
Mn (0.018, 0.965, 0.520)
Mn (0.042, 0.343, 0.202)
Mn (0.488, 0.109, 0.826)
Mn (0.519, 0.807, 0.191)
Mn (0.543, 0.485, 0.526)
O (0.161, 0.914, 0.749)
O (0.171, 0.235, 0.427)
O (0.313, 0.758, 0.416)
O (0.323, 0.101, 0.079)
O (0.339, 0.434, 0.754)
O (0.696, 0.157, 0.604)
O (0.710, 0.510, 0.288)
O (0.712, 0.836, 0.947)
O (0.851, 0.675, 0.614)
O (0.888, 0.352, 0.964)
F (0.188, 0.655, 0.067)
F (0.855, 0.991, 0.270)

***

The following is a DFT calculation (PBE with a Hubbard U) of a geometry-optimized Ba4Y2FeCu5O14 structure.

- ρ: 6.14 g cm⁻³
- Final energy: -6.341 eV per atom

Lattice parameters (Å, degrees): 12.581 12.581 3.855 90.00 90.00 144.01
Sites, in units of the cell vectors:
Ba (0.155, 0.341, 0.000)
Ba (0.341, 0.155, 0.000)
Ba (0.659, 0.845, 0.000)
Ba (0.845, 0.659, 0.000)
Y (0.000, 0.500, 0.000)
Y (0.500, 0.000, 0.000)
Fe (0.500, 0.500, 0.500)
Cu (0.000, 0.000, 0.500)
Cu (0.179, 0.821, 0.500)
Cu (0.321, 0.679, 0.500)
Cu (0.679, 0.321, 0.500)
Cu (0.821, 0.179, 0.500)
O (0.060, 0.440, 0.499)
O (0.079, 0.921, 0.500)
O (0.190, 0.810, 0.000)
O (0.249, 0.249, 0.439)
O (0.310, 0.690, 0.000)
O (0.422, 0.578, 0.500)
O (0.440, 0.060, 0.499)
O (0.560, 0.940, 0.501)
O (0.578, 0.422, 0.500)
O (0.690, 0.310, 0.000)
O (0.751, 0.751, 0.561)
O (0.810, 0.190, 0.000)
O (0.921, 0.079, 0.500)
O (0.940, 0.560, 0.501)

***

The following is a DFT calculation (PBE with a Hubbard U) of a geometry-optimized NaTaWO7 structure.

- ρ: 5.71 g cm⁻³
- Final energy: -7.355 eV per atom

Lattice parameters (Å, degrees): 7.452 7.452 7.452 120.47 120.47 89.19
Sites, in units of the cell vectors:
Na (0.500, 0.000, 0.000)
Na (0.500, 0.500, 0.500)
Ta (0.000, 0.000, 0.000)
Ta (0.500, 0.000, 0.500)
W (0.000, 0.000, 0.500)
W (0.000, 0.500, 0.000)
O (0.055, 0.305, 0.750)
O (0.065, 0.316, 0.124)
O (0.065, 0.941, 0.748)
O (0.308, 0.059, 0.624)
O (0.308, 0.684, 0.248)
O (0.315, 0.065, 0.250)
O (0.355, 0.605, 0.750)
O (0.645, 0.395, 0.250)
O (0.685, 0.935, 0.750)
O (0.692, 0.316, 0.752)
O (0.692, 0.941, 0.376)
O (0.935, 0.059, 0.252)
O (0.935, 0.684, 0.876)
O (0.945, 0.695, 0.250)

***

| no. | total moment (μB/cell) |
| --- | --- |
| 1 | 7.00 |
| 2 | 0.00 |
| 3 | 15.00 |
| 4 | 22.00 |
| 5 | 3.34 |
| 6 | 4.02 |